[1]
This record from Materials Project describes an optimized crystal structure of MoSe2Cl4O. The functional is PBE with a Hubbard U.

a = 14.5109 Å, b = 7.9348 Å, c = 16.2274 Å
α = 90.00°, β = 110.97°, γ = 90.00°
Element x y z (fractional)
Mo 0.0422 0.2149 0.0906
Mo 0.0422 0.2851 0.5906
Mo 0.3834 0.1053 0.5364
Mo 0.3834 0.3947 0.0364
Mo 0.6166 0.6053 0.9636
Mo 0.6166 0.8947 0.4636
Mo 0.9578 0.7149 0.4094
Mo 0.9578 0.7851 0.9094
Se 0.1831 0.7262 0.7642
Se 0.1831 0.7738 0.2642
Se 0.2178 0.5179 0.3422
Se 0.2178 0.9821 0.8422
Se 0.3082 0.7201 0.2103
Se 0.3082 0.7799 0.7103
Se 0.3416 0.0377 0.7856
Se 0.3416 0.4623 0.2856
Se 0.6584 0.5377 0.7144
Se 0.6584 0.9623 0.2144
Se 0.6918 0.2201 0.2897
Se 0.6918 0.2799 0.7897
Se 0.7822 0.0179 0.1578
Se 0.7822 0.4821 0.6578
Se 0.8169 0.2262 0.7358
Se 0.8169 0.2738 0.2358
Cl 0.0281 0.1562 0.9407
Cl 0.0281 0.3438 0.4407
Cl 0.0337 0.1475 0.2310
Cl 0.0337 0.3525 0.7310
Cl 0.1323 0.7476 0.9604
Cl 0.1323 0.7524 0.4604
Cl 0.2005 0.0729 0.1400
Cl 0.2005 0.4271 0.6400
Cl 0.3103 0.1609 0.3791
Cl 0.3103 0.3391 0.8791
Cl 0.4092 0.1055 0.0640
Cl 0.4092 0.3945 0.5640
Cl 0.4269 0.6665 0.9937
Cl 0.4269 0.8335 0.4937
Cl 0.4896 0.0337 0.6866
Cl 0.4896 0.4663 0.1866
Cl 0.5104 0.5337 0.8134
Cl 0.5104 0.9663 0.3134
Cl 0.5731 0.1665 0.5063
Cl 0.5731 0.3335 0.0063
Cl 0.5908 0.6055 0.4360
Cl 0.5908 0.8945 0.9360
Cl 0.6897 0.6609 0.1209
Cl 0.6897 0.8391 0.6209
Cl 0.7995 0.5729 0.3600
Cl 0.7995 0.9271 0.8600
Cl 0.8677 0.2476 0.5396
Cl 0.8677 0.2524 0.0396
Cl 0.9663 0.6475 0.2690
Cl 0.9663 0.8525 0.7690
Cl 0.9719 0.6562 0.5593
Cl 0.9719 0.8438 0.0593
O 0.0818 0.0829 0.6050
O 0.0818 0.4171 0.1050
O 0.2760 0.0695 0.5529
O 0.2760 0.4305 0.0529
O 0.7240 0.5695 0.9471
O 0.7240 0.9305 0.4471
O 0.9182 0.5829 0.8950
O 0.9182 0.9171 0.3950

Offset from the most stable computed form ... 102 meV per atom
DFT formation energy ... -0.615 eV per atom
V ... 1745 Å³/cell
Uncorrected energy ... -3.901 eV per atom



[2]
This record from Materials Project describes an optimized crystal structure of Te2MoCl4O. The functional is PBE with a Hubbard U.

a = 10.9708 Å, b = 7.1901 Å, c = 16.3063 Å
α = 90.00°, β = 131.45°, γ = 90.00°
Element x y z (fractional)
Te 0.9999 0.2132 0.0728
Te 0.9999 0.2868 0.5728
Te 0.0001 0.7132 0.4272
Te 0.0001 0.7868 0.9272
Te 0.2074 0.5733 0.6357
Te 0.2074 0.9267 0.1357
Te 0.7926 0.0733 0.8643
Te 0.7926 0.4267 0.3643
Mo 0.3197 0.1856 0.4543
Mo 0.3197 0.3144 0.9543
Mo 0.6803 0.6856 0.0457
Mo 0.6803 0.8144 0.5457
Cl 0.0451 0.1000 0.3115
Cl 0.0451 0.4000 0.8115
Cl 0.3136 0.0077 0.5782
Cl 0.3136 0.4923 0.0782
Cl 0.3312 0.2218 0.8168
Cl 0.3312 0.2782 0.3168
Cl 0.3821 0.6683 0.9132
Cl 0.3821 0.8317 0.4132
Cl 0.6179 0.1683 0.5868
Cl 0.6179 0.3317 0.0868
Cl 0.6688 0.7218 0.6832
Cl 0.6688 0.7782 0.1832
Cl 0.6864 0.5077 0.9218
Cl 0.6864 0.9923 0.4218
Cl 0.9549 0.6000 0.1885
Cl 0.9549 0.9000 0.6885
O 0.3049 0.0990 0.9894
O 0.3049 0.4010 0.4894
O 0.6951 0.5990 0.5106
O 0.6951 0.9010 0.0106

DFT formation energy ... -0.755 eV per atom
V ... 964 Å³/cell
Uncorrected energy ... -3.953 eV per atom



[3]
This record from Materials Project describes an optimized crystal structure of TlMo2Cl7O2. The functional is PBE with a Hubbard U.

a = 7.2346 Å, b = 9.8446 Å, c = 9.5999 Å
α = 90.00°, β = 90.00°, γ = 90.00°
Element x y z (fractional)
Tl 0.2500 0.2500 0.0274
Tl 0.7500 0.7500 0.9726
Mo 0.2500 0.5707 0.6885
Mo 0.2500 0.9293 0.6885
Mo 0.7500 0.0707 0.3115
Mo 0.7500 0.4293 0.3115
Cl 0.0174 0.0488 0.8081
Cl 0.0174 0.4512 0.8081
Cl 0.0187 0.7500 0.6161
Cl 0.2500 0.7500 0.8995
Cl 0.4813 0.7500 0.6161
Cl 0.4826 0.0488 0.8081
Cl 0.4826 0.4512 0.8081
Cl 0.5174 0.5488 0.1919
Cl 0.5174 0.9512 0.1919
Cl 0.5187 0.2500 0.3839
Cl 0.7500 0.2500 0.1005
Cl 0.9813 0.2500 0.3839
Cl 0.9826 0.5488 0.1919
Cl 0.9826 0.9512 0.1919
O 0.2500 0.0048 0.5298
O 0.2500 0.4952 0.5298
O 0.7500 0.5048 0.4702
O 0.7500 0.9952 0.4702

Offset from the most stable computed form ... 0 meV per atom
DFT formation energy ... -1.068 eV per atom
V ... 684 Å³/cell
Uncorrected energy ... -4.327 eV per atom



[4]
This record from Materials Project describes an optimized crystal structure of TlMo2Cl7O2. The functional is PBE with a Hubbard U.

a = 7.2670 Å, b = 9.6258 Å, c = 10.2815 Å
α = 103.51°, β = 90.44°, γ = 109.14°
Element x y z (fractional)
Tl 0.2283 0.2561 0.4351
Tl 0.7717 0.7439 0.5649
Mo 0.2239 0.6456 0.2901
Mo 0.3655 0.1265 0.9042
Mo 0.6345 0.8735 0.0958
Mo 0.7761 0.3544 0.7099
Cl 0.0869 0.8453 0.3437
Cl 0.1046 0.8962 0.8445
Cl 0.2510 0.6578 0.5225
Cl 0.2906 0.6981 0.0622
Cl 0.4122 0.0974 0.1266
Cl 0.4239 0.0973 0.6692
Cl 0.4604 0.5186 0.2679
Cl 0.5396 0.4814 0.7321
Cl 0.5761 0.9027 0.3308
Cl 0.5878 0.9026 0.8734
Cl 0.7094 0.3019 0.9378
Cl 0.7490 0.3422 0.4775
Cl 0.8954 0.1038 0.1555
Cl 0.9131 0.1547 0.6563
O 0.0178 0.4957 0.2300
O 0.2504 0.2553 0.9341
O 0.7496 0.7447 0.0659
O 0.9822 0.5043 0.7700

Offset from the most stable computed form ... 8 meV per atom
DFT formation energy ... -1.060 eV per atom
V ... 658 Å³/cell
Uncorrected energy ... -4.319 eV per atom



[5]
This record from Materials Project describes an optimized crystal structure of VP2NCl10O. The functional is PBE with a Hubbard U.

a = 10.4065 Å, b = 16.4484 Å, c = 20.7264 Å
α = 90.00°, β = 90.00°, γ = 90.00°
Element x y z (fractional)
V 0.2022 0.0833 0.1303
V 0.2022 0.4167 0.6303
V 0.2978 0.5833 0.1303
V 0.2978 0.9167 0.6303
V 0.7022 0.0833 0.3697
V 0.7022 0.4167 0.8697
V 0.7978 0.5833 0.3697
V 0.7978 0.9167 0.8697
P 0.1584 0.6469 0.8454
P 0.1584 0.8531 0.3454
P 0.1934 0.2204 0.4053
P 0.1934 0.2796 0.9053
P 0.3066 0.7204 0.4053
P 0.3066 0.7796 0.9053
P 0.3416 0.1469 0.8454
P 0.3416 0.3531 0.3454
P 0.6584 0.6469 0.6546
P 0.6584 0.8531 0.1546
P 0.6934 0.2204 0.0947
P 0.6934 0.2796 0.5947
P 0.8066 0.7204 0.0947
P 0.8066 0.7796 0.5947
P 0.8416 0.1469 0.6546
P 0.8416 0.3531 0.1546
N 0.1930 0.7196 0.8911
N 0.1930 0.7804 0.3911
N 0.3070 0.2196 0.8911
N 0.3070 0.2804 0.3911
N 0.6930 0.7196 0.6089
N 0.6930 0.7804 0.1089
N 0.8070 0.2196 0.6089
N 0.8070 0.2804 0.1089
Cl 0.0012 0.5929 0.8763
Cl 0.0012 0.9071 0.3763
Cl 0.0055 0.0992 0.1793
Cl 0.0055 0.4008 0.6793
Cl 0.0445 0.2254 0.9463
Cl 0.0445 0.2746 0.4463
Cl 0.1246 0.1650 0.3273
Cl 0.1246 0.3350 0.8273
Cl 0.1266 0.6820 0.7552
Cl 0.1266 0.8180 0.2552
Cl 0.1313 0.5438 0.6011
Cl 0.1313 0.9562 0.1011
Cl 0.1655 0.5763 0.0421
Cl 0.1655 0.9237 0.5421
Cl 0.2060 0.0620 0.8397
Cl 0.2062 0.2212 0.1189
Cl 0.2062 0.2788 0.6189
Cl 0.2060 0.4380 0.3397
Cl 0.2479 0.6353 0.4655
Cl 0.2479 0.8647 0.9655
Cl 0.2521 0.1353 0.4655
Cl 0.2521 0.3647 0.9655
Cl 0.2940 0.5620 0.8397
Cl 0.2938 0.7212 0.1189
Cl 0.2938 0.7788 0.6189
Cl 0.2940 0.9380 0.3397
Cl 0.3345 0.0763 0.0421
Cl 0.3345 0.4237 0.5421
Cl 0.3687 0.0438 0.6011
Cl 0.3687 0.4562 0.1011
Cl 0.3734 0.1820 0.7552
Cl 0.3734 0.3180 0.2552
Cl 0.3754 0.6650 0.3273
Cl 0.3754 0.8350 0.8273
Cl 0.4555 0.7254 0.9463
Cl 0.4555 0.7746 0.4463
Cl 0.4945 0.5992 0.1793
Cl 0.4945 0.9008 0.6793
Cl 0.4988 0.0929 0.8763
Cl 0.4988 0.4071 0.3763
Cl 0.5012 0.5929 0.6237
Cl 0.5012 0.9071 0.1237
Cl 0.5055 0.0992 0.3207
Cl 0.5055 0.4008 0.8207
Cl 0.5445 0.2254 0.5537
Cl 0.5445 0.2746 0.0537
Cl 0.6246 0.1650 0.1727
Cl 0.6246 0.3350 0.6727
Cl 0.6266 0.6820 0.7448
Cl 0.6266 0.8180 0.2448
Cl 0.6313 0.5438 0.8989
Cl 0.6313 0.9562 0.3989
Cl 0.6655 0.5763 0.4579
Cl 0.6655 0.9237 0.9579
Cl 0.7060 0.0620 0.6603
Cl 0.7062 0.2212 0.3811
Cl 0.7062 0.2788 0.8811
Cl 0.7060 0.4380 0.1603
Cl 0.7479 0.6353 0.0345
Cl 0.7479 0.8647 0.5345
Cl 0.7521 0.1353 0.0345
Cl 0.7521 0.3647 0.5345
Cl 0.7940 0.5620 0.6603
Cl 0.7938 0.7212 0.3811
Cl 0.7938 0.7788 0.8811
Cl 0.7940 0.9380 0.1603
Cl 0.8345 0.0763 0.4579
Cl 0.8345 0.4237 0.9579
Cl 0.8687 0.0438 0.8989
Cl 0.8687 0.4562 0.3989
Cl 0.8734 0.1820 0.7448
Cl 0.8734 0.3180 0.2448
Cl 0.8754 0.6650 0.1727
Cl 0.8754 0.8350 0.6727
Cl 0.9555 0.7254 0.5537
Cl 0.9555 0.7746 0.0537
Cl 0.9945 0.5992 0.3207
Cl 0.9945 0.9008 0.8207
Cl 0.9988 0.0929 0.6237
Cl 0.9988 0.4071 0.1237
O 0.2029 0.5663 0.1897
O 0.2029 0.9337 0.6897
O 0.2971 0.0663 0.1897
O 0.2971 0.4337 0.6897
O 0.7029 0.5663 0.3103
O 0.7029 0.9337 0.8103
O 0.7971 0.0663 0.3103
O 0.7971 0.4337 0.8103

DFT formation energy ... -0.835 eV per atom
V ... 3548 Å³/cell
Uncorrected energy ... -4.121 eV per atom



[6]
This record from Materials Project describes an optimized crystal structure of P3W2N2Cl15O3. The functional is PBE with a Hubbard U.

a = 12.4563 Å, b = 12.9307 Å, c = 20.1375 Å
α = 72.21°, β = 74.19°, γ = 84.83°
Element x y z (fractional)
P 0.0971 0.1960 0.3896
P 0.2004 0.9950 0.1399
P 0.2102 0.5950 0.3792
P 0.2599 0.5016 0.6955
P 0.3129 0.0818 0.7864
P 0.3964 0.7231 0.0225
P 0.6036 0.2769 0.9775
P 0.6871 0.9182 0.2136
P 0.7401 0.4984 0.3045
P 0.7898 0.4050 0.6208
P 0.7996 0.0050 0.8601
P 0.9029 0.8040 0.6104
W 0.0980 0.6062 0.0626
W 0.1753 0.5464 0.8826
W 0.3446 0.0905 0.5875
W 0.3794 0.0549 0.4024
W 0.6206 0.9451 0.5976
W 0.6554 0.9095 0.4125
W 0.8247 0.4536 0.1174
W 0.9020 0.3938 0.9374
N 0.0278 0.4651 0.9070
N 0.1534 0.5792 0.9639
N 0.3535 0.0758 0.5024
N 0.4929 0.0157 0.6002
N 0.5071 0.9843 0.3998
N 0.6465 0.9242 0.4976
N 0.8466 0.4208 0.0361
N 0.9722 0.5349 0.0930
Cl 0.0013 0.2782 0.4534
Cl 0.0022 0.0778 0.3928
Cl 0.0383 0.7761 0.0009
Cl 0.0722 0.9491 0.2279
Cl 0.0894 0.6997 0.8207
Cl 0.0898 0.6659 0.1631
Cl 0.1179 0.2974 0.2899
Cl 0.1427 0.9783 0.0598
Cl 0.1694 0.1789 0.6057
Cl 0.1764 0.1549 0.8307
Cl 0.1786 0.4191 0.6560
Cl 0.2081 0.1565 0.1194
Cl 0.2174 0.4620 0.1018
Cl 0.2535 0.3727 0.9172
Cl 0.2610 0.9044 0.4602
Cl 0.2615 0.9241 0.6599
Cl 0.2699 0.5009 0.3138
Cl 0.2762 0.5256 0.4633
Cl 0.2813 0.6500 0.6260
Cl 0.2904 0.9243 0.8379
Cl 0.2940 0.7347 0.3281
Cl 0.3530 0.6219 0.8230
Cl 0.3557 0.0598 0.2893
Cl 0.4129 0.4357 0.6840
Cl 0.4204 0.6612 0.1211
Cl 0.4354 0.1252 0.8186
Cl 0.4373 0.2566 0.5499
Cl 0.4466 0.2326 0.3564
Cl 0.4511 0.8757 0.9894
Cl 0.4910 0.3504 0.0397
Cl 0.5090 0.6496 0.9603
Cl 0.5489 0.1243 0.0106
Cl 0.5534 0.7674 0.6436
Cl 0.5627 0.7434 0.4501
Cl 0.5646 0.8748 0.1814
Cl 0.5796 0.3388 0.8789
Cl 0.5871 0.5643 0.3160
Cl 0.6443 0.9402 0.7107
Cl 0.6470 0.3781 0.1770
Cl 0.7060 0.2653 0.6719
Cl 0.7096 0.0757 0.1621
Cl 0.7187 0.3500 0.3740
Cl 0.7238 0.4744 0.5367
Cl 0.7301 0.4991 0.6862
Cl 0.7385 0.0759 0.3401
Cl 0.7390 0.0956 0.5399
Cl 0.7465 0.6273 0.0828
Cl 0.7826 0.5380 0.8982
Cl 0.7919 0.8435 0.8806
Cl 0.8214 0.5809 0.3440
Cl 0.8236 0.8451 0.1693
Cl 0.8306 0.8211 0.3943
Cl 0.8573 0.0217 0.9402
Cl 0.8821 0.7026 0.7101
Cl 0.9102 0.3341 0.8369
Cl 0.9106 0.3003 0.1793
Cl 0.9278 0.0509 0.7721
Cl 0.9617 0.2239 0.9991
Cl 0.9978 0.9222 0.6072
Cl 0.9987 0.7218 0.5466
O 0.0883 0.6073 0.3984
O 0.2020 0.1570 0.4105
O 0.2021 0.4989 0.7709
O 0.2807 0.7148 0.0187
O 0.3058 0.9363 0.1465
O 0.3365 0.1098 0.7067
O 0.6635 0.8902 0.2933
O 0.6942 0.0637 0.8535
O 0.7193 0.2852 0.9813
O 0.7979 0.5011 0.2291
O 0.7980 0.8430 0.5895
O 0.9117 0.3927 0.6016

DFT formation energy ... -0.882 eV per atom
V ... 2971 Å³/cell
Uncorrected energy ... -4.501 eV per atom



[7]
This record from Materials Project describes an optimized crystal structure of NaWCl2O2. The functional is PBE with a Hubbard U.

a = 3.8847 Å, b = 8.1985 Å, c = 8.1985 Å
α = 27.47°, β = 90.00°, γ = 90.00°
Element x y z (fractional)
Na 0.0000 0.0000 0.0000
W 0.5000 0.7176 0.7176
Cl 0.5000 0.5575 0.5575
Cl 0.5000 0.8716 0.8716
O 0.0000 0.7149 0.7149
O 0.5000 0.2147 0.2147

DFT formation energy ... -1.670 eV per atom
V ... 120 Å³/cell
Uncorrected energy ... -5.347 eV per atom



[8]
This record from Materials Project describes an optimized crystal structure of Na3W2Cl4O4. The functional is PBE with a Hubbard U.

a = 5.6139 Å, b = 8.0369 Å, c = 8.0369 Å
α = 41.51°, β = 90.00°, γ = 90.00°
Element x y z (fractional)
Na 0.0000 0.0000 0.0000
Na 0.0000 0.2615 0.2615
Na 0.5000 0.5020 0.5020
W 0.0000 0.6335 0.6335
W 0.5000 0.1327 0.1327
Cl 0.0000 0.4635 0.4635
Cl 0.0000 0.7968 0.7968
Cl 0.5000 0.2947 0.2947
Cl 0.5000 0.9655 0.9655
O 0.2537 0.3722 0.8821
O 0.2537 0.8821 0.3722
O 0.7463 0.3722 0.8821
O 0.7463 0.8821 0.3722

DFT formation energy ... -1.725 eV per atom
V ... 240 Å³/cell
Uncorrected energy ... -5.221 eV per atom